No. 1
Material: MgFe12O12F12
Method: DFT, PBE+U
State: relaxed

a = 9.7051 Å, b = 14.5532 Å, c = 3.1323 Å
α = 90.00°, β = 90.00°, γ = 94.35°
Element x y z (fractional)
Fe: 0.7306 0.8349 0.5000
F: 0.8532 0.8934 0.0000
Fe: 0.2145 0.4985 0.5000
F: 0.6292 0.2767 0.5000
O: 0.1393 0.2650 0.5000
O: 0.1145 0.9299 0.5000
Fe: 0.0525 0.3102 0.0000
F: 0.8886 0.3637 0.5000
Fe: 0.9875 0.6750 0.0000
Fe: 0.4959 0.6765 0.0000
O: 0.6569 0.1054 0.0000
F: 0.8831 0.7414 0.5000
F: 0.8854 0.2227 0.0000
O: 0.1274 0.4376 0.0000
Mg: 0.7458 0.3137 0.0000
F: 0.3812 0.7372 0.5000
F: 0.8311 0.5744 0.0000
F: 0.0853 0.6028 0.5000
F: 0.1556 0.7709 0.0000
Fe: 0.5159 0.9955 0.0000
Fe: 0.4602 0.3747 0.0000
F: 0.3813 0.2412 0.0000
Fe: 0.7571 0.0803 0.5000
O: 0.9364 0.0489 0.5000
O: 0.6307 0.9550 0.5000
O: 0.6349 0.7819 0.0000
F: 0.4208 0.0691 0.5000
F: 0.3144 0.5767 0.0000
Fe: 0.2617 0.8523 0.5000
Fe: 0.2607 0.1610 0.5000
O: 0.6423 0.4289 0.0000
O: 0.1873 0.1008 0.0000
Fe: 0.0387 0.9955 0.0000
O: 0.3747 0.4181 0.5000
Fe: 0.6972 0.5197 0.5000
O: 0.5621 0.6162 0.5000
O: 0.3659 0.9015 0.0000

## Properties
* energy relative to the elements: -77.083 eV per formula unit
* total moment: 1.568 μB per atom
* uncorrected energy: -5.995 eV per atom
* energy relative to the lowest polymorph listed for this composition: 10 meV per atom

=====

No. 2
Material: MgFe6O11F
Method: DFT, PBE+U
State: relaxed

a = 8.1058 Å, b = 5.6645 Å, c = 5.8837 Å
α = 67.40°, β = 62.74°, γ = 65.52°
Element x y z (fractional)
O: 0.0192 0.6966 0.3046
O: 0.3157 0.9520 0.3338
Fe: 0.6688 0.3353 0.3473
Fe: 0.5475 0.0391 0.0286
O: 0.9472 0.2504 0.1911
O: 0.3500 0.3948 0.0094
O: 0.6877 0.0396 0.6532
Fe: 0.1113 0.2993 0.3059
Fe: 0.9821 0.0116 0.9916
F: 0.2898 0.9372 0.8691
O: 0.3969 0.4057 0.4864
O: 0.6212 0.5865 0.5405
O: 0.9686 0.3024 0.6797
Mg: 0.3240 0.6658 0.1867
Fe: 0.3401 0.6600 0.6673
Fe: 0.7919 0.6629 0.6463
O: 0.6347 0.6433 0.0326
O: 0.7014 0.0967 0.1561
O: 0.0703 0.7589 0.7961

## Properties
* energy relative to the elements: -30.421 eV per formula unit
* total moment: 1.316 μB per atom
* uncorrected energy: -6.191 eV per atom
* energy relative to the lowest polymorph listed for this composition: 44 meV per atom

=====

No. 3
Material: MgFe6O10F2
Method: DFT, PBE+U
State: relaxed

a = 5.0427 Å, b = 5.0582 Å, c = 8.7326 Å
α = 90.88°, β = 87.61°, γ = 101.20°
Element x y z (fractional)
Fe: 0.9880 0.9979 0.6832
Mg: 0.0532 0.5143 0.4936
O: 0.1621 0.8694 0.1628
F: 0.2244 0.8836 0.5057
Fe: 0.5417 0.3940 0.5121
O: 0.2838 0.3256 0.0030
F: 0.7980 0.1527 0.8483
O: 0.2887 0.3387 0.3441
O: 0.7312 0.6469 0.6653
O: 0.8016 0.1510 0.5062
O: 0.6953 0.6982 0.0049
O: 0.2498 0.3616 0.6645
Fe: 0.5591 0.4301 0.1618
Fe: 0.4274 0.5900 0.8432
O: 0.7676 0.6290 0.3524
O: 0.7909 0.1640 0.1650
Fe: 0.9962 0.0074 0.0077
O: 0.1883 0.8537 0.8413
Fe: 0.9666 0.0060 0.3207

## Properties
* energy relative to the elements: -31.676 eV per formula unit
* total moment: 1.368 μB per atom
* uncorrected energy: -6.109 eV per atom
* energy relative to the lowest polymorph listed for this composition: 104 meV per atom

=====

No. 4
Material: MgFe6O8F4
Method: DFT, PBE+U
State: relaxed

a = 4.8709 Å, b = 4.8785 Å, c = 9.0989 Å
α = 90.00°, β = 90.00°, γ = 89.89°
Element x y z (fractional)
Fe: 0.5000 0.5000 0.1512
O: 0.8074 0.2019 0.4986
O: 0.6989 0.6951 0.6662
O: 0.3011 0.3049 0.6662
Fe: 0.0000 0.0000 0.0209
Fe: 0.5000 0.5000 0.8473
F: 0.3066 0.3140 0.3337
Fe: 0.0000 0.0000 0.3226
O: 0.1926 0.7981 0.4986
F: 0.6934 0.6860 0.3337
Mg: 0.0000 0.5000 0.5853
O: 0.6934 0.6958 0.9986
F: 0.1848 0.8049 0.8285
O: 0.3066 0.3043 0.9986
F: 0.8152 0.1952 0.8285
O: 0.7998 0.1996 0.1715
Fe: 0.0000 0.0000 0.6593
Fe: 0.5000 0.5000 0.5050
O: 0.2002 0.8004 0.1715

## Properties
* energy relative to the elements: -35.615 eV per formula unit
* total moment: 1.579 μB per atom
* uncorrected energy: -6.021 eV per atom
* energy relative to the lowest polymorph listed for this composition: 64 meV per atom

=====

No. 5
Material: MgFe10O9F11
Method: DFT, PBE+U
State: relaxed

a = 4.9357 Å, b = 4.8922 Å, c = 15.5012 Å
α = 89.84°, β = 89.92°, γ = 96.35°
Element x y z (fractional)
O: 0.6944 0.6865 0.4000
F: 0.2340 0.8496 0.8989
O: 0.2924 0.2912 0.2041
O: 0.2904 0.2851 0.3964
Mg: 0.5211 0.0196 0.7970
O: 0.3256 0.3457 0.8012
F: 0.7759 0.1966 0.7050
Fe: 0.0342 0.0003 0.6026
Fe: 0.9898 0.9860 0.4036
F: 0.2003 0.7964 0.4937
O: 0.3010 0.3323 0.5922
O: 0.2717 0.2929 0.0131
F: 0.1789 0.7993 0.3024
Fe: 0.4910 0.4721 0.4889
F: 0.7800 0.1520 0.8966
F: 0.7303 0.7049 0.7941
F: 0.7184 0.6905 0.6008
Fe: 0.0322 0.0312 0.7958
F: 0.1866 0.8039 0.1069
F: 0.8063 0.1765 0.3028
O: 0.6947 0.6911 0.2040
Fe: 0.4831 0.5010 0.9154
Fe: 0.9940 0.9922 0.2041
Fe: 0.9961 0.9917 0.0068
F: 0.7931 0.1825 0.4963
O: 0.7115 0.6888 0.0093
O: 0.2560 0.8425 0.7066
Fe: 0.4344 0.5247 0.6910
Fe: 0.4917 0.4939 0.2990
F: 0.7949 0.1750 0.1069
Fe: 0.4961 0.4901 0.1061

## Properties
* energy relative to the elements: -64.364 eV per formula unit
* total moment: 1.516 μB per atom
* uncorrected energy: -5.885 eV per atom
* energy relative to the lowest polymorph listed for this composition: 11 meV per atom

=====

No. 6
Material: MgFe4O4F4
Method: DFT, PBE+U
State: relaxed

a = 5.1645 Å, b = 5.1988 Å, c = 6.0003 Å
α = 81.20°, β = 92.67°, γ = 97.69°
Element x y z (fractional)
O: 0.9333 0.7371 0.0896
F: 0.4626 0.7402 0.8468
F: 0.4397 0.7227 0.3435
F: 0.6020 0.2537 0.6371
O: 0.0839 0.2274 0.8995
F: 0.5158 0.2925 0.1872
Fe: 0.7706 0.5138 0.3696
O: 0.9558 0.7639 0.5710
Mg: 0.2294 0.5161 0.0886
O: 0.0533 0.3177 0.3779
Fe: 0.8413 0.9502 0.8016
Fe: 0.1443 0.0023 0.2636
Fe: 0.2430 0.4763 0.6386

## Properties
* energy relative to the elements: -27.925 eV per formula unit
* total moment: 1.385 μB per atom
* uncorrected energy: -5.941 eV per atom
* energy relative to the lowest polymorph listed for this composition: 60 meV per atom

=====

No. 7
Material: MgFe6O11F
Method: DFT, PBE+U
State: relaxed

a = 5.1625 Å, b = 7.4410 Å, c = 5.7015 Å
α = 98.77°, β = 97.51°, γ = 85.21°
Element x y z (fractional)
O: 0.6733 0.7507 0.4678
Mg: 0.5040 0.4968 0.4967
Fe: 0.4163 0.2953 0.8841
O: 0.3474 0.5637 0.8168
O: 0.6510 0.0837 0.8027
Fe: 0.9863 0.9922 0.0067
Fe: 0.5592 0.6868 0.1015
Fe: 0.5503 0.0101 0.4718
Fe: 0.9866 0.3145 0.3284
O: 0.8721 0.4413 0.6264
O: 0.1307 0.9000 0.7260
O: 0.3468 0.2452 0.5156
O: 0.8367 0.0804 0.2924
Fe: 0.9998 0.6723 0.6770
O: 0.3463 0.9060 0.1921
O: 0.6353 0.4278 0.1617
O: 0.8568 0.7601 0.9777
F: 0.1564 0.5704 0.3455
O: 0.1307 0.2221 0.0257

## Properties
* energy relative to the elements: -31.266 eV per formula unit
* total moment: 1.000 μB per atom
* uncorrected energy: -6.235 eV per atom
* energy relative to the lowest polymorph listed for this composition: 0 meV per atom

=====

Q: Which of these has the highest energy relative to the lowest polymorph listed for this composition?
A: MgFe6O10F2